## Li2CeSmMo4O16 (PBE+U)

Data for a relaxed structure of Li2CeSmMo4O16.

Calculated values
Its formation energy is -2152 meV/atom. The energy above the most stable polymorph in this dataset is 332 meV per atom. As for the space group: P-4, No. 81. The total magnetic moment comes out at 1.001 μB per formula unit. The crystal system is tetragonal.

Cell lengths 5.227, 5.227, 9.691 Å; angles 90.00, 90.00, 90.00 degrees
Fractional coordinates of all 24 atoms:
Li1 0.500 0.750 0.125
Li2 0.000 0.250 0.625
Ce1 0.500 0.250 0.875
Sm1 0.000 0.750 0.375
Mo1 0.000 0.250 0.126
Mo2 0.500 0.750 0.624
Mo3 0.500 0.250 0.375
Mo4 0.000 0.750 0.875
O1 0.805 0.428 0.274
O2 0.310 0.943 0.770
O3 0.195 0.072 0.274
O4 0.690 0.557 0.770
O5 0.217 0.940 0.028
O6 0.722 0.440 0.525
O7 0.783 0.560 0.028
O8 0.278 0.060 0.525
O9 0.690 0.028 0.225
O10 0.190 0.533 0.722
O11 0.310 0.472 0.225
O12 0.810 0.967 0.722
O13 0.322 0.555 0.476
O14 0.807 0.060 0.980
O15 0.678 0.945 0.476
O16 0.193 0.440 0.980